(1)
ZnSO4 after structural relaxation. Source: the Materials Project database, functional PBE.

Lattice parameters (Å, degrees): 8.699 6.835 4.846 90.00 90.00 90.00
Space group Pnma (No. 62)
Inequivalent atoms, fractional coordinates:
Zn  0.000  0.000  0.000 [4 per cell]
S  0.178  0.250  0.468 [4 per cell]
O  0.124  0.250  0.760 [4 per cell]
O  0.125  0.069  0.330 [8 per cell]
O  0.148  0.750  0.954 [4 per cell]

Total DFT energy (no corrections): -0.4118 Ry per atom
V: 12.0 Å³ per atom
E_form: -1.863 eV/atom
E (MP2020): -6.061 eV per atom

(2)
K2CuSCl2O4 after structural relaxation. Source: the Materials Project database, functional PBE.

Lattice parameters (Å, degrees): 7.851 6.219 16.534 90.00 90.00 90.00
Space group Pnma (No. 62)
Inequivalent atoms, fractional coordinates:
K  0.117  0.250  0.217 [4 per cell]
K  0.120  0.250  0.594 [4 per cell]
Cu  0.121  0.250  0.962 [4 per cell]
S  0.130  0.250  0.803 [4 per cell]
Cl  0.099  0.750  0.952 [4 per cell]
Cl  0.162  0.750  0.552 [4 per cell]
O  0.025  0.750  0.142 [4 per cell]
O  0.133  0.055  0.752 [8 per cell]
O  0.224  0.750  0.363 [4 per cell]

Total DFT energy (no corrections): -0.3595 Ry per atom
V: 20.2 Å³ per atom
E_form: -1.771 eV/atom
E (MP2020): -5.166 eV per atom

(3)
TiBC after structural relaxation. Source: the Materials Project database, functional PBE.

Lattice parameters (Å, degrees): 2.8295 2.8295 7.0613 90.00 90.00 120.00
Space group P6_3/mmc (No. 194)
Inequivalent atoms, fractional coordinates:
Ti  0.0000  0.0000  0.0000 [2 per cell]
B  0.3333  0.6667  0.2500 [2 per cell]
C  0.3333  0.6667  0.7500 [2 per cell]

Total DFT energy (no corrections): -0.6192 Ry per atom
V: 8.2 Å³ per atom
E_form: -0.490 eV/atom

(4)
Na3LaTi3P6O24 after structural relaxation. Source: the Materials Project database, functional PBE.

Lattice parameters (Å, degrees): 8.843 8.866 22.455 90.12 90.01 119.70
Space group P1 (No. 1)
Inequivalent atoms, fractional coordinates:
Na  0.000  0.000  0.000 [1 per cell]
Na  0.009  0.325  0.083 [1 per cell]
Na  0.025  0.339  0.592 [1 per cell]
Na  0.049  0.663  0.171 [1 per cell]
Na  0.344  0.990  0.753 [1 per cell]
Na  0.356  0.002  0.259 [1 per cell]
Na  0.665  0.640  0.916 [1 per cell]
Na  0.678  0.639  0.419 [1 per cell]
Na  0.721  0.993  0.504 [1 per cell]
La  0.011  0.335  0.921 [1 per cell]
La  0.023  0.337  0.438 [1 per cell]
La  0.362  0.004  0.111 [1 per cell]
Ti  0.009  0.322  0.736 [1 per cell]
Ti  0.011  0.314  0.237 [1 per cell]
Ti  0.340  0.989  0.400 [1 per cell]
Ti  0.343  0.991  0.610 [1 per cell]
Ti  0.347  0.990  0.899 [1 per cell]
Ti  0.668  0.650  0.064 [1 per cell]
Ti  0.677  0.647  0.568 [1 per cell]
Ti  0.678  0.661  0.273 [1 per cell]
Ti  0.679  0.660  0.766 [1 per cell]
P  0.011  0.015  0.834 [1 per cell]
P  0.014  0.632  0.333 [1 per cell]
P  0.043  0.697  0.005 [1 per cell]
P  0.053  0.971  0.507 [1 per cell]
P  0.319  0.323  0.334 [1 per cell]
P  0.322  0.633  0.831 [1 per cell]
P  0.355  0.292  0.999 [1 per cell]
P  0.358  0.717  0.507 [1 per cell]
P  0.381  0.629  0.173 [1 per cell]
P  0.384  0.369  0.668 [1 per cell]
P  0.611  0.276  0.506 [1 per cell]
P  0.639  0.977  0.999 [1 per cell]
P  0.685  0.953  0.666 [1 per cell]
P  0.698  0.325  0.831 [1 per cell]
P  0.699  0.387  0.174 [1 per cell]
P  0.707  0.022  0.338 [1 per cell]
P  0.944  0.949  0.171 [1 per cell]
P  0.967  0.651  0.668 [1 per cell]
O  0.010  0.513  0.999 [1 per cell]
O  0.025  0.128  0.507 [1 per cell]
O  0.035  0.155  0.785 [1 per cell]
O  0.040  0.532  0.279 [1 per cell]
O  0.121  0.958  0.175 [1 per cell]
O  0.131  0.767  0.065 [1 per cell]
O  0.148  0.964  0.449 [1 per cell]
O  0.151  0.813  0.662 [1 per cell]
O  0.152  0.822  0.952 [1 per cell]
O  0.162  0.983  0.562 [1 per cell]
O  0.181  0.519  0.783 [1 per cell]
O  0.182  0.008  0.839 [1 per cell]
O  0.185  0.299  0.283 [1 per cell]
O  0.188  0.806  0.342 [1 per cell]
O  0.196  0.539  0.510 [1 per cell]
O  0.198  0.464  0.174 [1 per cell]
O  0.200  0.321  0.992 [1 per cell]
O  0.202  0.351  0.677 [1 per cell]
O  0.266  0.372  0.392 [1 per cell]
O  0.284  0.540  0.891 [1 per cell]
O  0.314  0.185  0.056 [1 per cell]
O  0.316  0.148  0.341 [1 per cell]
O  0.321  0.807  0.839 [1 per cell]
O  0.351  0.785  0.176 [1 per cell]
O  0.356  0.821  0.562 [1 per cell]
O  0.361  0.185  0.662 [1 per cell]
O  0.370  0.822  0.450 [1 per cell]
O  0.372  0.188  0.945 [1 per cell]
O  0.475  0.485  0.612 [1 per cell]
O  0.478  0.629  0.114 [1 per cell]
O  0.488  0.635  0.226 [1 per cell]
O  0.504  0.463  0.720 [1 per cell]
O  0.504  0.668  0.814 [1 per cell]
O  0.505  0.470  0.321 [1 per cell]
O  0.508  0.185  0.449 [1 per cell]
O  0.514  0.169  0.561 [1 per cell]
O  0.521  0.968  0.945 [1 per cell]
O  0.523  0.978  0.662 [1 per cell]
O  0.525  0.151  0.837 [1 per cell]
O  0.526  0.702  0.508 [1 per cell]
O  0.530  0.466  0.006 [1 per cell]
O  0.532  0.021  0.342 [1 per cell]
O  0.538  0.209  0.181 [1 per cell]
O  0.574  0.010  0.057 [1 per cell]
O  0.634  0.461  0.509 [1 per cell]
O  0.636  0.799  0.004 [1 per cell]
O  0.660  0.831  0.718 [1 per cell]
O  0.668  0.476  0.814 [1 per cell]
O  0.671  0.837  0.324 [1 per cell]
O  0.704  0.485  0.115 [1 per cell]
O  0.709  0.868  0.608 [1 per cell]
O  0.711  0.501  0.226 [1 per cell]
O  0.789  0.285  0.507 [1 per cell]
O  0.789  0.378  0.891 [1 per cell]
O  0.802  0.075  0.397 [1 per cell]
O  0.815  0.301  0.783 [1 per cell]
O  0.819  0.155  0.287 [1 per cell]
O  0.827  0.123  0.993 [1 per cell]
O  0.836  0.841  0.223 [1 per cell]
O  0.849  0.134  0.677 [1 per cell]
O  0.849  0.627  0.612 [1 per cell]
O  0.850  0.864  0.111 [1 per cell]
O  0.857  0.835  0.817 [1 per cell]
O  0.866  0.369  0.174 [1 per cell]
O  0.866  0.700  0.006 [1 per cell]
O  0.868  0.676  0.322 [1 per cell]
O  0.869  0.805  0.508 [1 per cell]
O  0.876  0.679  0.721 [1 per cell]
O  0.964  0.526  0.390 [1 per cell]
O  0.967  0.060  0.894 [1 per cell]
O  0.967  0.134  0.176 [1 per cell]
O  0.984  0.487  0.676 [1 per cell]

Total DFT energy (no corrections): -0.5529 Ry per atom
V: 13.8 Å³ per atom
E_form: -3.000 eV/atom
E (MP2020): -7.968 eV per atom

(5)
NbAlCo after structural relaxation. Source: the Materials Project database, functional PBE.

Lattice parameters (Å, degrees): 7.974 5.021 8.471 90.00 90.00 90.00
Space group Amm2 (No. 38)
Inequivalent atoms, fractional coordinates:
Nb  0.175  0.000  0.000 [4 per cell]
Nb  0.295  0.000  0.331 [4 per cell]
Al  0.238  0.000  0.672 [4 per cell]
Al  0.500  0.244  0.073 [4 per cell]
Co  0.000  0.000  0.493 [2 per cell]
Co  0.000  0.239  0.248 [4 per cell]
Co  0.500  0.000  0.827 [2 per cell]

Total DFT energy (no corrections): -0.5410 Ry per atom
V: 14.1 Å³ per atom
E_form: -0.376 eV/atom

(6)
Mg16Si8HO32 after structural relaxation. Source: the Materials Project database, functional PBE.

Lattice parameters (Å, degrees): 6.088 9.672 10.392 89.86 89.85 89.96
Space group P1 (No. 1)
Inequivalent atoms, fractional coordinates:
Mg  0.000  0.000  0.000 [1 per cell]
Mg  0.000  0.237  0.496 [1 per cell]
Mg  0.021  0.511  0.019 [1 per cell]
Mg  0.250  0.997  0.278 [1 per cell]
Mg  0.251  0.495  0.281 [1 per cell]
Mg  0.251  0.748  0.776 [1 per cell]
Mg  0.254  0.238  0.776 [1 per cell]
Mg  0.497  0.752  0.058 [1 per cell]
Mg  0.499  0.492  0.554 [1 per cell]
Mg  0.499  0.988  0.553 [1 per cell]
Mg  0.503  0.249  0.055 [1 per cell]
Mg  0.741  0.233  0.766 [1 per cell]
Mg  0.749  0.495  0.279 [1 per cell]
Mg  0.749  0.996  0.278 [1 per cell]
Mg  0.750  0.746  0.776 [1 per cell]
Mg  0.999  0.743  0.499 [1 per cell]
Si  0.000  0.785  0.185 [1 per cell]
Si  0.000  0.958  0.682 [1 per cell]
Si  0.001  0.282  0.182 [1 per cell]
Si  0.496  0.530  0.869 [1 per cell]
Si  0.499  0.028  0.874 [1 per cell]
Si  0.499  0.709  0.373 [1 per cell]
Si  0.500  0.209  0.373 [1 per cell]
Si  0.998  0.464  0.672 [1 per cell]
H  0.843  0.446  0.865 [1 per cell]
O  0.000  0.112  0.184 [1 per cell]
O  0.000  0.355  0.329 [1 per cell]
O  0.001  0.129  0.684 [1 per cell]
O  0.001  0.886  0.829 [1 per cell]
O  0.002  0.614  0.189 [1 per cell]
O  0.215  0.884  0.613 [1 per cell]
O  0.216  0.858  0.115 [1 per cell]
O  0.218  0.382  0.622 [1 per cell]
O  0.219  0.358  0.114 [1 per cell]
O  0.283  0.633  0.441 [1 per cell]
O  0.284  0.107  0.941 [1 per cell]
O  0.284  0.134  0.441 [1 per cell]
O  0.290  0.608  0.943 [1 per cell]
O  0.495  0.098  0.725 [1 per cell]
O  0.496  0.607  0.724 [1 per cell]
O  0.498  0.359  0.865 [1 per cell]
O  0.499  0.879  0.371 [1 per cell]
O  0.500  0.379  0.371 [1 per cell]
O  0.500  0.635  0.226 [1 per cell]
O  0.501  0.136  0.226 [1 per cell]
O  0.502  0.858  0.874 [1 per cell]
O  0.715  0.134  0.442 [1 per cell]
O  0.715  0.634  0.442 [1 per cell]
O  0.717  0.106  0.938 [1 per cell]
O  0.728  0.592  0.932 [1 per cell]
O  0.783  0.382  0.612 [1 per cell]
O  0.783  0.855  0.114 [1 per cell]
O  0.783  0.885  0.615 [1 per cell]
O  0.787  0.358  0.112 [1 per cell]
O  0.980  0.396  0.831 [1 per cell]
O  0.999  0.631  0.681 [1 per cell]
O  0.999  0.858  0.330 [1 per cell]

Total DFT energy (no corrections): -0.4969 Ry per atom
V: 10.7 Å³ per atom
E_form: -3.098 eV/atom
E (MP2020): -7.146 eV per atom

(7)
Na3GdI6 after structural relaxation. Source: the Materials Project database, functional PBE.

Lattice parameters (Å, degrees): 7.924 13.657 7.866 90.00 109.69 90.00
Space group C2 (No. 5)
Inequivalent atoms, fractional coordinates:
Na  0.000  0.000  0.000 [2 per cell]
Na  0.000  0.161  0.500 [2 per cell]
Na  0.000  0.666  0.000 [2 per cell]
Gd  0.000  0.333  0.000 [2 per cell]
I  0.236  0.332  0.760 [4 per cell]
I  0.240  0.174  0.245 [4 per cell]
I  0.242  0.492  0.244 [4 per cell]

Total DFT energy (no corrections): -0.2980 Ry per atom
V: 40.1 Å³ per atom
E_form: -1.563 eV/atom
E (MP2020): -4.282 eV per atom

(8)
ZnCdSe2 after structural relaxation. Source: the Materials Project database, functional PBE.

Lattice parameters (Å, degrees): 4.2250 4.2250 6.9253 90.00 90.00 120.00
Space group P3m1 (No. 156)
Inequivalent atoms, fractional coordinates:
Zn  0.0000  0.0000  0.0000 [1 per cell]
Cd  0.6667  0.3333  0.4970 [1 per cell]
Se  0.0000  0.0000  0.6421 [1 per cell]
Se  0.6667  0.3333  0.1084 [1 per cell]

Total DFT energy (no corrections): -0.2155 Ry per atom
V: 26.8 Å³ per atom
E_form: -0.875 eV/atom
E (MP2020): -3.168 eV per atom

(9)
Y2S3O20 after structural relaxation. Source: the Materials Project database, functional PBE.

Lattice parameters (Å, degrees): 13.527 6.713 18.129 90.00 98.06 90.00
Space group C2/c (No. 15)
Inequivalent atoms, fractional coordinates:
Y  0.172  0.014  0.392 [8 per cell]
S  0.000  0.268  0.250 [4 per cell]
S  0.225  0.028  0.092 [8 per cell]
O  0.014  0.115  0.615 [8 per cell]
O  0.032  0.396  0.190 [8 per cell]
O  0.037  0.133  0.446 [8 per cell]
O  0.083  0.140  0.285 [8 per cell]
O  0.154  0.043  0.147 [8 per cell]
O  0.155  0.454  0.578 [8 per cell]
O  0.177  0.069  0.015 [8 per cell]
O  0.185  0.466  0.191 [8 per cell]
O  0.195  0.323  0.886 [8 per cell]
O  0.228  0.327  0.406 [8 per cell]

Total DFT energy (no corrections): -0.4073 Ry per atom
V: 16.3 Å³ per atom
E_form: -1.119 eV/atom
E (MP2020): -6.091 eV per atom

(10)
Tb2TeO2 after structural relaxation. Source: the Materials Project database, functional PBE.

Lattice parameters (Å, degrees): 3.953 3.953 12.588 90.00 90.00 90.00
Space group I4/mmm (No. 139)
Inequivalent atoms, fractional coordinates:
Tb  0.000  0.000  0.162 [4 per cell]
Te  0.000  0.000  0.500 [2 per cell]
O  0.000  0.500  0.250 [4 per cell]

Total DFT energy (no corrections): -0.5462 Ry per atom
V: 19.7 Å³ per atom
E_form: -3.244 eV/atom
E (MP2020): -7.706 eV per atom

(11)
Br after structural relaxation. Source: the Materials Project database, functional PBE.

Lattice parameters (Å, degrees): 8.452 4.259 8.744 90.00 90.00 90.00
Space group Cmce (No. 64)
Inequivalent atoms, fractional coordinates:
Br  0.000  0.142  0.118 [8 per cell]

Total DFT energy (no corrections): -0.1203 Ry per atom
V: 39.3 Å³ per atom
E_form: 0.000 eV/atom

(12)
CsRbMg14O15 after structural relaxation. Source: the Materials Project database, functional PBE.

Lattice parameters (Å, degrees): 4.157 8.591 10.695 90.00 90.00 90.00
Space group Pmm2 (No. 25)
Inequivalent atoms, fractional coordinates:
Cs  0.000  0.000  0.000 [1 per cell]
Rb  0.000  0.500  0.463 [1 per cell]
Mg  0.000  0.000  0.554 [1 per cell]
Mg  0.000  0.222  0.328 [2 per cell]
Mg  0.000  0.257  0.753 [2 per cell]
Mg  0.000  0.500  0.038 [1 per cell]
Mg  0.500  0.000  0.350 [1 per cell]
Mg  0.500  0.000  0.741 [1 per cell]
Mg  0.500  0.239  0.135 [2 per cell]
Mg  0.500  0.265  0.569 [2 per cell]
Mg  0.500  0.500  0.258 [1 per cell]
Mg  0.500  0.500  0.792 [1 per cell]
O  0.000  0.000  0.359 [1 per cell]
O  0.000  0.000  0.748 [1 per cell]
O  0.000  0.237  0.556 [2 per cell]
O  0.000  0.295  0.149 [2 per cell]
O  0.000  0.500  0.841 [1 per cell]
O  0.500  0.000  0.160 [1 per cell]
O  0.500  0.000  0.546 [1 per cell]
O  0.500  0.241  0.775 [2 per cell]
O  0.500  0.286  0.335 [2 per cell]
O  0.500  0.500  0.075 [1 per cell]
O  0.500  0.500  0.603 [1 per cell]

Total DFT energy (no corrections): -0.3975 Ry per atom
V: 12.3 Å³ per atom
E_form: -2.564 eV/atom
E (MP2020): -5.741 eV per atom